# 1
This record from the Materials Project describes Li9Mn2Co5O16 after structural relaxation. The functional is GGA+U.

a b c (Å): 5.047 5.848 10.123
angles (deg): 88.93 80.96 72.92
Space group P1 (No. 1)
Symmetry-distinct sites (fractional):
Li  0.000  0.000  0.000 (multiplicity 1)
Li  0.001  0.001  0.501 (multiplicity 1)
Li  0.001  0.250  0.746 (multiplicity 1)
Li  0.007  0.498  0.504 (multiplicity 1)
Li  0.492  0.630  0.383 (multiplicity 1)
Li  0.497  0.875  0.131 (multiplicity 1)
Li  0.505  0.126  0.874 (multiplicity 1)
Li  0.507  0.371  0.625 (multiplicity 1)
Li  0.998  0.755  0.259 (multiplicity 1)
Mn  0.503  0.878  0.620 (multiplicity 1)
Mn  0.997  0.247  0.260 (multiplicity 1)
Co  0.003  0.758  0.743 (multiplicity 1)
Co  0.498  0.125  0.379 (multiplicity 1)
Co  0.499  0.379  0.128 (multiplicity 1)
Co  0.503  0.624  0.875 (multiplicity 1)
Co  0.997  0.504  0.002 (multiplicity 1)
O  0.231  0.208  0.075 (multiplicity 1)
O  0.243  0.414  0.314 (multiplicity 1)
O  0.245  0.460  0.820 (multiplicity 1)
O  0.249  0.965  0.313 (multiplicity 1)
O  0.260  0.673  0.063 (multiplicity 1)
O  0.266  0.699  0.573 (multiplicity 1)
O  0.268  0.928  0.802 (multiplicity 1)
O  0.284  0.169  0.558 (multiplicity 1)
O  0.720  0.833  0.447 (multiplicity 1)
O  0.744  0.084  0.201 (multiplicity 1)
O  0.744  0.324  0.944 (multiplicity 1)
O  0.744  0.579  0.688 (multiplicity 1)
O  0.749  0.038  0.691 (multiplicity 1)
O  0.749  0.298  0.424 (multiplicity 1)
O  0.754  0.793  0.940 (multiplicity 1)
O  0.760  0.540  0.189 (multiplicity 1)

Summary:
uncorrected energy	-5.8482	eV per atom
energy above the most stable polymorph in this dataset	6.5	meV/atom

# 2
This record from the Materials Project describes MgTiCo2O6 after structural relaxation. The functional is GGA+U.

a b c (Å): 3.043 6.215 6.667
angles (deg): 74.47 77.58 89.14
Space group P1 (No. 1)
Symmetry-distinct sites (fractional):
Mg  0.000  0.000  0.000 (multiplicity 1)
Ti  0.971  0.303  0.238 (multiplicity 1)
Co  0.287  0.893  0.517 (multiplicity 1)
Co  0.638  0.563  0.837 (multiplicity 1)
O  0.079  0.338  0.916 (multiplicity 1)
O  0.134  0.780  0.842 (multiplicity 1)
O  0.414  0.040  0.193 (multiplicity 1)
O  0.467  0.484  0.205 (multiplicity 1)
O  0.760  0.684  0.537 (multiplicity 1)
O  0.810  0.119  0.512 (multiplicity 1)

Summary:
uncorrected energy	-6.6761	eV per atom
energy above the most stable polymorph in this dataset	89.0	meV/atom

# 3
This record from the Materials Project describes Ba10MgMn6O24F2 after structural relaxation. The functional is GGA+U.

a b c (Å): 7.750 10.529 10.559
angles (deg): 61.52 86.64 89.00
Space group P-1 (No. 2)
Symmetry-distinct sites (fractional):
Ba  0.005  0.320  0.362 (multiplicity 2)
Ba  0.228  0.246  0.764 (multiplicity 2)
Ba  0.247  0.780  0.986 (multiplicity 2)
Ba  0.267  0.001  0.237 (multiplicity 2)
Ba  0.494  0.666  0.674 (multiplicity 2)
Mg  0.000  0.500  0.000 (multiplicity 1)
Mn  0.243  0.030  0.600 (multiplicity 2)
Mn  0.271  0.603  0.367 (multiplicity 2)
Mn  0.282  0.376  0.026 (multiplicity 2)
O  0.061  0.098  0.647 (multiplicity 2)
O  0.085  0.271  0.073 (multiplicity 2)
O  0.095  0.661  0.262 (multiplicity 2)
O  0.207  0.516  0.850 (multiplicity 2)
O  0.222  0.480  0.116 (multiplicity 2)
O  0.234  0.847  0.674 (multiplicity 2)
O  0.254  0.418  0.473 (multiplicity 2)
O  0.259  0.118  0.413 (multiplicity 2)
O  0.276  0.691  0.467 (multiplicity 2)
O  0.409  0.085  0.663 (multiplicity 2)
O  0.449  0.641  0.249 (multiplicity 2)
O  0.451  0.253  0.113 (multiplicity 2)
F  0.000  0.000  0.000 (multiplicity 1)
F  0.500  0.000  0.000 (multiplicity 1)

Summary:
uncorrected energy	-6.5030	eV per atom
energy above the most stable polymorph in this dataset	11.8	meV/atom